No. 1
Ca21Zn4Sb18, optimized geometry, DFT r²SCAN; energy relative to the elements = -1.094 eV per atom; final energy = -16.121 eV/atom
1.0
8.317 8.714 0.005
-8.317 8.714 0.005
0.000 0.567 17.106
Sb Ca Zn
36 42 8
Cartesian
0.000 3.080 12.791
-3.022 10.516 12.730
0.000 10.318 9.168
-4.241 8.998 8.558
0.000 7.004 12.677
0.000 7.677 7.949
3.022 10.516 12.730
-3.285 4.986 15.403
-5.997 7.927 13.013
0.000 1.202 9.649
0.000 8.604 15.808
3.258 12.956 6.646
3.022 7.479 4.387
0.000 4.521 6.357
0.000 14.915 4.326
4.243 8.714 0.005
-5.997 10.068 4.104
4.241 8.998 8.558
0.000 16.793 7.468
5.997 10.068 4.104
-3.258 12.956 6.646
0.000 13.474 10.760
-3.022 7.479 4.387
-3.258 5.039 10.471
0.000 16.384 0.981
3.285 4.986 15.403
3.258 5.039 10.471
-3.285 13.009 1.713
0.000 1.611 16.136
5.997 7.927 13.013
3.285 13.009 1.713
0.000 4.597 1.998
0.000 9.391 1.309
-4.243 8.714 0.005
0.000 10.991 4.439
0.000 13.398 15.119
0.000 5.125 15.494
-2.061 8.130 10.569
-6.333 7.117 9.885
-2.824 7.930 14.414
-2.221 2.424 0.992
6.333 7.117 9.885
5.612 10.690 14.618
2.707 6.205 7.458
6.333 10.878 7.232
0.000 4.740 9.956
-5.612 7.305 2.499
2.061 9.865 6.548
-2.221 15.571 16.125
0.000 12.870 1.622
0.000 13.255 7.161
5.722 7.445 6.003
-6.333 10.878 7.232
-2.861 4.427 4.163
2.061 8.130 10.569
0.000 7.259 4.354
-5.612 10.690 14.618
5.612 7.305 2.499
0.000 10.736 12.763
5.722 10.550 11.114
-5.722 7.445 6.003
-2.104 6.705 0.984
-2.104 11.290 16.133
2.824 10.065 2.703
2.221 2.424 0.992
2.861 4.427 4.163
-2.861 13.568 12.954
2.824 7.930 14.414
2.707 11.790 9.659
-5.722 10.550 11.114
2.221 15.571 16.125
2.104 6.705 0.984
-2.061 9.865 6.548
-2.824 10.065 2.703
2.104 11.290 16.133
-2.707 6.205 7.458
2.861 13.568 12.954
-2.707 11.790 9.659
0.000 2.812 4.152
0.000 0.463 13.667
1.994 5.034 12.879
0.000 15.183 12.965
-1.994 5.034 12.879
1.994 12.961 4.238
-1.994 12.961 4.238
0.000 17.532 3.450

No. 2
Dy2Te, optimized geometry, DFT r²SCAN; energy relative to the elements = -1.028 eV per atom; final energy = -30.822 eV/atom
1.0
4.073 0.000 0.000
0.000 11.505 0.000
0.000 0.000 22.079
Dy Te
24 12
Cartesian
3.055 7.465 2.401
1.018 4.748 3.219
3.055 10.190 21.331
3.055 6.297 14.573
1.018 4.437 11.788
1.018 5.209 7.507
3.055 3.116 16.934
3.055 4.457 0.372
1.018 10.209 10.667
1.018 7.049 21.707
1.018 8.390 5.145
3.055 2.637 5.895
1.018 8.868 16.185
3.055 7.068 10.291
3.055 10.962 3.533
3.055 9.793 13.441
1.018 1.315 0.748
3.055 1.296 11.412
1.018 1.712 8.638
3.055 10.501 7.821
3.055 6.757 18.861
1.018 0.544 18.546
1.018 1.004 14.258
1.018 4.041 19.678
3.055 4.020 9.513
3.055 11.329 16.313
3.055 3.344 13.847
1.018 9.097 19.272
3.055 2.409 2.807
1.018 8.161 8.233
1.018 5.577 16.806
3.055 5.929 5.273
1.018 9.772 1.526
1.018 7.486 12.566
3.055 1.733 20.553
1.018 0.176 5.766

No. 3
Cs2Se3, optimized geometry, DFT r²SCAN; energy relative to the elements = -0.984 eV per atom; final energy = -19.614 eV/atom
1.0
7.072 -0.067 0.000
-2.460 6.631 0.000
0.000 0.000 8.383
Cs Se
4 6
Cartesian
6.141 0.587 4.550
-1.529 5.977 0.359
3.073 2.743 2.683
1.539 3.821 6.875
5.086 3.920 5.588
2.648 0.449 5.588
5.091 1.324 0.043
1.964 6.114 1.396
-0.474 2.643 1.396
-0.479 5.239 4.234

No. 4
TmB4Ru4, optimized geometry, DFT r²SCAN; energy relative to the elements = -0.541 eV per atom; final energy = -19.008 eV/atom
1.0
-3.711 3.711 7.483
3.711 -3.711 7.483
3.711 3.711 -7.483
Tm B Ru
4 16 16
Cartesian
0.000 3.711 0.000
0.000 0.000 3.741
0.000 0.000 11.224
3.711 0.000 0.000
2.467 4.751 1.216
1.040 2.467 4.958
2.467 1.040 2.525
4.954 -1.040 2.525
2.467 2.671 8.699
1.040 1.243 6.267
-1.040 4.954 4.958
1.243 -1.040 8.699
1.243 4.751 2.525
2.671 -1.243 4.958
4.751 1.243 4.958
2.671 -2.467 6.267
2.671 2.467 -1.216
1.243 1.040 1.216
1.040 6.178 -1.216
-1.243 2.671 2.525
-0.855 4.818 2.819
4.566 1.108 2.819
4.818 -0.855 4.664
2.856 -2.603 8.405
2.856 -1.108 2.819
1.108 -0.855 6.560
1.108 0.855 -0.923
0.855 6.314 0.923
2.603 2.856 6.560
2.603 4.566 -0.923
2.603 0.855 4.664
1.108 4.566 4.664
0.855 2.603 2.819
0.855 1.108 8.405
-1.108 2.856 4.664
2.856 2.603 0.923

No. 5
Er6MnSb2, optimized geometry, DFT r²SCAN; energy relative to the elements = -0.676 eV per atom; final energy = -30.637 eV/atom
1.0
0.000 0.000 -4.322
-4.018 -6.959 0.000
-4.018 6.959 0.000
Mn Er Sb
1 6 2
Cartesian
0.000 0.000 0.000
-6.118 0.000 -2.161
-3.223 0.000 0.000
-0.959 1.661 -2.161
-2.406 -4.168 0.000
-2.406 4.168 0.000
-0.959 -1.661 -2.161
-4.018 -2.320 -2.161
-4.018 2.320 -2.161

No. 6
TmSnRu2, optimized geometry, DFT r²SCAN; energy relative to the elements = -0.445 eV per atom; final energy = -28.124 eV/atom
1.0
0.986 -0.957 4.400
1.196 3.391 2.884
-2.889 1.306 3.346
Ru Sn Tm
2 1 1
Cartesian
-0.353 1.870 5.315
0.000 0.000 0.000
-0.177 0.935 2.658
-0.530 2.805 7.973

No. 7
ErClO, optimized geometry, DFT r²SCAN; energy relative to the elements = -3.390 eV per atom; final energy = -18.741 eV/atom
1.0
-3.778 -1.208 1.109
-2.285 -0.439 -8.263
1.100 -3.545 -0.116
Cl Er O
2 2 2
Cartesian
-0.776 -0.149 -2.807
-2.848 -2.666 -4.959
-3.898 -0.990 -6.711
0.274 -1.825 -1.055
-1.410 -2.390 0.241
-2.214 -0.426 -8.007

No. 8
TbP2Pd2, optimized geometry, DFT r²SCAN; energy relative to the elements = -1.017 eV per atom; final energy = -20.047 eV/atom
1.0
-2.043 2.043 4.931
2.043 -2.043 4.931
2.043 2.043 -4.931
Pd P Tb
2 2 1
Cartesian
0.000 2.043 2.465
2.043 0.000 2.465
0.000 0.000 6.021
0.000 0.000 3.840
0.000 0.000 0.000

No. 9
KVCl3, optimized geometry, DFT r²SCAN; energy relative to the elements = -1.836 eV per atom; final energy = -9.549 eV/atom
1.0
3.458 -5.989 0.000
3.458 5.989 0.000
0.000 0.000 6.160
V Cl K
2 6 2
Cartesian
0.000 0.000 0.000
0.000 0.000 3.080
5.225 -0.975 4.620
1.690 0.975 1.540
5.225 0.975 1.540
3.458 -4.038 4.620
1.690 -0.975 4.620
3.458 4.038 1.540
3.457 1.996 4.620
3.458 -1.996 1.540

No. 10
TbSi2, optimized geometry, DFT r²SCAN; energy relative to the elements = -0.561 eV per atom; final energy = -16.819 eV/atom
1.0
4.063 0.000 0.000
-2.032 3.519 0.000
0.000 0.000 4.003
Si Tb
2 1
Cartesian
2.032 1.173 2.001
0.000 2.346 2.001
0.000 0.000 0.000

No. 11
Lu2Fe3Si5, optimized geometry, DFT r²SCAN; energy relative to the elements = -0.560 eV per atom; final energy = -16.887 eV/atom
1.0
-6.918 2.967 -6.907
-1.411 -9.732 -2.767
-3.881 -0.484 3.680
Lu Si Fe
8 20 12
Cartesian
-3.682 -0.207 0.008
-8.528 -7.043 -6.002
-5.712 -2.008 -6.288
-8.857 -5.975 -2.290
-7.234 -1.758 -0.024
-3.492 -7.457 -0.745
-8.718 0.208 -5.249
-6.498 -5.242 0.293
-2.957 -0.369 2.804
-4.596 -2.970 0.640
-7.215 -0.216 -7.637
-0.924 -0.115 0.876
-5.181 -3.509 -3.873
-6.712 -6.674 -4.038
-8.288 -2.456 -5.146
-9.555 -4.521 -4.794
-7.029 -3.740 -2.121
-2.655 -2.728 -1.200
-5.498 -0.576 -1.956
-5.911 0.159 -4.254
-6.299 -7.408 -1.740
-4.358 -7.166 -3.580
-3.922 -4.793 -0.848
-6.083 -7.497 -7.401
-7.614 -4.279 -6.634
-2.247 0.731 -2.273
-7.851 -0.083 -2.415
-1.115 -6.550 -2.036
-1.676 -4.987 -0.464
-4.931 -2.848 -1.657
-5.452 -5.397 -2.542
-6.370 1.121 -0.694
-6.094 1.333 -6.252
-6.758 -1.852 -3.453
-7.269 -5.727 -8.419
-7.279 -4.401 -4.337
-2.235 -8.099 -3.422
-4.429 1.362 -2.533
-3.616 -5.229 1.376
-1.060 -1.038 -1.255

No. 12
ZnSnSb2, optimized geometry, DFT r²SCAN; distance to the lowest polymorph of the same formula = 0 meV per atom; energy relative to the elements = -0.104 eV per atom; final energy = -21.371 eV/atom
1.0
5.762 0.000 -2.577
-1.152 5.646 -2.577
0.011 0.014 7.756
Sb Zn Sn
4 2 2
Cartesian
4.185 4.944 -2.637
3.496 0.570 3.951
1.583 2.121 0.073
-0.021 3.685 3.818
0.582 4.241 1.301
0.000 0.000 0.000
4.039 1.418 1.301
2.305 2.823 -2.577

No. 13
Pa3Si, optimized geometry, DFT r²SCAN; energy relative to the elements = -0.316 eV per atom; final energy = -60.151 eV/atom
1.0
-2.779 -1.368 -3.182
3.433 -1.636 -2.294
-0.465 -3.898 2.082
Si Pa
1 3
Cartesian
-0.465 -3.898 2.082
-1.295 -4.135 -3.288
1.811 -4.269 -2.844
0.327 -1.502 -2.738

No. 14
Pr3NbO7, optimized geometry, DFT r²SCAN; energy relative to the elements = -3.458 eV per atom; final energy = -17.526 eV/atom
1.0
-4.124 -0.214 5.277
-2.665 -3.071 -5.326
3.217 -6.683 2.243
Pr O Nb
6 14 2
Cartesian
-2.020 -7.960 -0.740
-1.552 -2.008 2.934
-0.895 -3.295 -1.842
1.609 -3.342 1.122
-2.677 -6.673 4.036
0.000 0.000 0.000
-0.281 -7.632 -2.256
-2.214 -4.446 -3.380
-2.105 -3.078 0.540
-0.213 -4.966 -0.153
0.799 -7.112 3.487
1.167 -7.833 0.810
-1.467 -6.890 1.654
-2.990 -5.724 -0.330
-3.359 -5.003 2.347
-3.291 -2.337 4.450
-0.582 -4.244 2.525
-4.371 -2.857 -1.293
-1.359 -5.522 5.574
-4.739 -2.136 1.384
-3.395 -1.643 -0.025
-1.786 -4.984 1.097

No. 15
RbScBP2HO9, optimized geometry, DFT r²SCAN; energy relative to the elements = -2.673 eV per atom; final energy = -9.865 eV/atom
1.0
5.338 0.008 -0.008
1.433 8.243 -0.041
0.492 0.283 8.422
P Rb Sc O H B
4 2 2 18 2 2
Cartesian
1.440 1.625 0.485
1.735 2.661 4.879
5.823 6.909 7.889
5.528 5.874 3.494
3.069 7.431 5.661
4.194 1.103 2.713
4.516 1.896 6.780
2.747 6.639 1.593
2.394 4.506 1.660
0.770 2.766 1.321
0.969 1.594 7.789
6.493 5.769 7.052
1.653 4.050 5.556
2.932 1.903 5.406
5.610 4.484 2.818
1.494 6.627 3.314
5.626 8.109 6.956
2.805 2.130 -0.004
4.869 4.028 6.713
5.769 1.908 5.059
5.250 5.659 5.003
6.293 6.941 0.584
2.013 2.876 3.370
4.331 6.631 2.967
4.458 6.405 8.377
1.637 0.426 1.417
2.904 3.963 1.038
4.359 4.572 7.336
1.363 3.674 2.298
5.900 4.860 6.075